DFT (GGA+U) results for a geometry-optimized Fe2SiO4 structure.

Total energy after the MP2020 corrections in hartree per atom: -0.2913

Unit cell a=5.7605 b=5.7605 c=5.7605 alpha=121.12 beta=111.87 gamma=96.35
Fractional positions:
Fe: 0.0000 0.5000 0.5000
Fe: 0.5000 0.0000 0.0000
Fe: 0.5000 0.5000 0.5000
Fe: 0.5000 0.5000 0.0000
O: 0.7988 0.2397 0.5591
O: 0.2333 0.2447 0.5115
O: 0.8193 0.7603 0.0590
O: 0.7667 0.7553 0.4885
O: 0.1807 0.2397 0.9410
O: 0.2333 0.7218 0.9885
O: 0.7667 0.2782 0.0115
O: 0.2012 0.7603 0.4410
Si: 0.0000 0.5000 0.0000
Si: 0.0000 0.0000 0.5000


DFT (GGA+U) results for a geometry-optimized FeSiO4 structure.

Total energy after the MP2020 corrections in hartree per atom: -0.2827

Unit cell a=5.3599 b=7.2408 c=11.4808 alpha=54.64 beta=90.00 gamma=90.00
Fractional positions:
O: 0.8939 0.7816 0.1437
O: 0.1479 0.7261 0.5855
O: 0.7355 0.9592 0.8643
O: 0.2664 0.6004 0.8517
O: 0.6061 0.7816 0.6437
O: 0.7645 0.9592 0.3643
O: 0.2355 0.0408 0.6357
O: 0.6479 0.2739 0.9145
O: 0.1061 0.2184 0.8563
O: 0.8521 0.2739 0.4145
O: 0.7336 0.3996 0.1483
O: 0.3939 0.2184 0.3563
O: 0.2336 0.6004 0.3517
O: 0.7664 0.3996 0.6483
O: 0.3521 0.7261 0.0855
O: 0.2645 0.0408 0.1357
Si: 0.3111 0.7877 0.6789
Si: 0.8111 0.2123 0.8211
Si: 0.1889 0.7877 0.1789
Si: 0.6889 0.2123 0.3211
Fe: 0.3170 0.2909 0.9506
Fe: 0.6830 0.7091 0.0494
Fe: 0.1830 0.2909 0.4506
Fe: 0.8170 0.7091 0.5494


DFT (GGA+U) results for a geometry-optimized Fe5Si3O12 structure.

Total energy after the MP2020 corrections in hartree per atom: -0.3021

Unit cell a=10.2844 b=10.2844 c=10.2844 alpha=109.47 beta=109.47 gamma=109.47
Fractional positions:
O: 0.9115 0.1220 0.6043
O: 0.0177 0.3072 0.8957
O: 0.1043 0.6220 0.4115
O: 0.8072 0.7895 0.4115
O: 0.3780 0.5885 0.8957
O: 0.2895 0.3072 0.9115
O: 0.1928 0.2105 0.5885
O: 0.9115 0.2895 0.3072
O: 0.5885 0.8957 0.3780
O: 0.4115 0.8072 0.7895
O: 0.8072 0.5177 0.3957
O: 0.9823 0.6928 0.1043
O: 0.7895 0.8780 0.9823
O: 0.9823 0.7895 0.8780
O: 0.0177 0.2105 0.1220
O: 0.8957 0.3780 0.5885
O: 0.6220 0.4115 0.1043
O: 0.4823 0.6043 0.1928
O: 0.4115 0.1043 0.6220
O: 0.6928 0.0885 0.7105
O: 0.2105 0.1220 0.0177
O: 0.5177 0.3957 0.8072
O: 0.6928 0.1043 0.9823
O: 0.2105 0.5885 0.1928
O: 0.1043 0.9823 0.6928
O: 0.7105 0.6928 0.0885
O: 0.5177 0.6220 0.7105
O: 0.0885 0.8780 0.3957
O: 0.7105 0.5177 0.6220
O: 0.8780 0.3957 0.0885
O: 0.5885 0.1928 0.2105
O: 0.1220 0.6043 0.9115
O: 0.3072 0.9115 0.2895
O: 0.3780 0.2895 0.4823
O: 0.3072 0.8957 0.0177
O: 0.1928 0.4823 0.6043
O: 0.6043 0.9115 0.1220
O: 0.3957 0.0885 0.8780
O: 0.0885 0.7105 0.6928
O: 0.6043 0.1928 0.4823
O: 0.4823 0.3780 0.2895
O: 0.2895 0.4823 0.3780
O: 0.3957 0.8072 0.5177
O: 0.1220 0.0177 0.2105
O: 0.8957 0.0177 0.3072
O: 0.6220 0.7105 0.5177
O: 0.7895 0.4115 0.8072
O: 0.8780 0.9823 0.7895
Fe: 0.1250 0.2500 0.3750
Fe: 0.5000 0.0000 0.0000
Fe: 0.0000 0.5000 0.5000
Fe: 0.1250 0.3750 0.7500
Fe: 0.5000 0.5000 0.5000
Fe: 0.0000 0.0000 0.0000
Fe: 0.8750 0.7500 0.6250
Fe: 0.6250 0.8750 0.7500
Fe: 0.5000 0.0000 0.5000
Fe: 0.7500 0.6250 0.8750
Fe: 0.5000 0.5000 0.0000
Fe: 0.2500 0.3750 0.1250
Fe: 0.3750 0.1250 0.2500
Fe: 0.6250 0.2500 0.8750
Fe: 0.7500 0.1250 0.3750
Fe: 0.3750 0.7500 0.1250
Fe: 0.0000 0.0000 0.5000
Fe: 0.8750 0.6250 0.2500
Fe: 0.2500 0.8750 0.6250
Fe: 0.0000 0.5000 0.0000
Si: 0.8750 0.2500 0.1250
Si: 0.1250 0.8750 0.2500
Si: 0.6250 0.7500 0.3750
Si: 0.3750 0.2500 0.6250
Si: 0.7500 0.3750 0.6250
Si: 0.2500 0.1250 0.8750
Si: 0.3750 0.6250 0.7500
Si: 0.7500 0.8750 0.1250
Si: 0.2500 0.6250 0.3750
Si: 0.1250 0.7500 0.8750
Si: 0.8750 0.1250 0.7500
Si: 0.6250 0.3750 0.2500


So what do the calculations give for excess energy over the best structure of this formula in the dataset? Going down the list: 38.4 0.5 1.4 kJ per mole of atoms.
So what do the calculations give for total energy? Going down the list: -96.44 -164.60 -579.50 eV for the cell shown.